Here is a relaxed ErAgSe2 crystal from the Materials Project. Energies are from PBE.

Geometry as POSCAR:
```
ErAgSe2
1.0
4.086 0.000 0.000
0.000 4.086 0.000
0.000 0.000 5.677
Er Ag Se
1 1 2
Cartesian
0.000 0.000 0.000
2.043 2.043 2.838
0.000 0.000 2.838
2.043 2.043 0.000
```

Summary:
Formation energy from the elements: -1.3237 eV per atom
Magnetic moment: 0.00 μB/cell


Here is a relaxed Na3Ca8Ta4P3S15O72 crystal from the Materials Project. Energies are from PBE.

Geometry as POSCAR:
```
Na3Ca8Ta4P3S15O72
1.0
9.067 0.000 0.000
-4.529 7.857 0.000
-0.006 -0.033 23.669
Na Ca Ta P S O
3 8 4 3 15 72
Cartesian
0.000 0.000 0.000
0.041 0.042 11.909
-0.011 5.341 4.037
-4.516 7.851 3.474
0.000 0.068 15.530
-0.004 5.219 12.370
-0.009 5.264 7.462
0.022 5.271 0.614
4.552 2.612 11.232
4.544 2.598 22.981
9.019 0.037 19.954
-0.013 5.196 19.269
4.584 2.636 4.519
4.583 2.616 16.197
4.505 7.805 8.170
-1.403 2.431 17.742
6.419 0.064 5.847
5.827 5.531 5.846
-1.241 2.778 9.779
-2.567 5.278 21.640
1.420 2.264 5.876
2.860 -0.004 17.747
-1.496 7.567 9.785
1.262 2.982 21.643
1.970 2.592 13.846
3.285 0.436 2.047
1.330 7.421 21.637
2.755 5.357 9.789
3.263 4.823 2.038
5.856 0.379 13.839
3.122 5.380 17.742
7.096 2.658 2.045
5.807 4.880 13.847
-3.461 6.368 4.632
-0.588 1.392 9.482
-3.413 6.461 21.449
-0.635 1.948 16.541
-1.802 4.879 13.888
-1.197 3.913 2.152
-0.986 3.608 8.616
-1.798 5.206 6.121
-0.584 3.278 11.004
-1.766 5.416 22.854
-0.864 3.883 18.157
-3.019 7.711 9.479
-1.589 5.254 20.421
0.672 1.650 21.468
0.834 1.701 4.680
-2.461 7.461 16.590
1.149 1.362 7.075
1.130 1.390 14.010
1.827 0.300 2.122
2.059 0.362 18.905
-1.406 6.743 11.008
0.730 3.602 22.853
0.801 3.835 20.417
0.947 3.619 6.112
-0.895 6.933 8.626
-0.729 6.709 18.100
1.220 3.845 13.881
-0.563 6.980 2.151
3.519 1.070 9.962
2.776 2.451 12.641
2.936 2.321 5.702
3.628 1.139 0.815
2.932 2.616 15.076
3.784 1.147 17.401
2.717 2.983 21.582
3.771 1.235 3.271
1.784 4.881 2.146
0.594 6.977 13.876
1.658 5.157 18.091
0.830 6.606 20.418
0.922 6.800 6.109
1.923 5.170 8.618
1.045 6.665 22.857
1.995 5.681 11.006
5.149 0.838 21.587
3.637 3.997 17.393
3.716 4.004 3.258
5.344 1.209 15.075
3.707 4.175 0.807
3.708 4.274 9.960
5.591 1.163 12.644
5.570 1.417 5.656
3.200 6.261 16.586
2.789 7.554 21.487
2.732 7.754 4.627
3.848 5.875 18.902
3.860 6.164 2.102
5.049 4.139 5.643
7.306 0.230 14.028
3.644 6.634 9.508
7.428 0.263 7.106
5.339 4.013 15.074
6.153 2.677 3.276
6.140 2.697 17.334
5.277 4.257 12.646
6.303 2.580 0.824
6.405 2.516 9.956
5.771 4.018 21.582
7.707 1.531 18.951
5.200 6.200 14.059
5.145 6.306 7.101
7.958 1.477 2.134
```

Summary:
Formation energy from the elements: -2.5087 eV per atom
Magnetic moment: 0.00 μB/cell


Here is a relaxed Ba6Li2Ti7Nb9O42 crystal from the Materials Project. Energies are from PBE.

Geometry as POSCAR:
```
Ba6Li2Ti7Nb9O42
1.0
4.667 -8.062 0.000
4.667 8.062 0.000
-0.018 0.000 11.792
Ba Li Ti Nb O
6 2 7 9 42
Cartesian
0.000 0.000 0.000
1.931 3.275 5.827
1.931 -3.275 5.827
5.731 3.225 11.773
7.590 0.000 5.820
5.731 -3.225 11.773
3.825 0.000 5.691
3.868 0.000 11.679
1.501 0.000 3.981
2.655 2.006 9.887
2.655 -2.006 9.887
5.016 1.988 3.947
6.150 0.000 9.940
5.016 -1.988 3.947
6.190 0.000 1.888
3.813 5.407 2.991
3.826 5.371 8.923
1.460 0.000 7.767
2.676 2.027 1.880
2.676 -2.027 1.880
5.010 2.022 7.759
5.010 -2.022 7.759
3.813 -5.407 2.991
3.826 -5.371 8.923
3.139 3.913 1.713
4.757 6.700 7.623
3.148 3.860 10.014
4.809 6.708 4.118
1.919 0.000 2.044
2.871 1.651 7.946
1.947 0.000 5.870
1.953 0.000 9.727
2.890 1.615 11.766
2.908 1.587 3.830
5.454 5.527 1.734
4.511 3.901 7.627
4.500 3.855 4.073
5.472 5.547 10.013
2.871 -1.651 7.946
2.908 -1.587 3.830
4.753 1.601 9.728
4.783 1.635 2.044
2.890 -1.615 11.766
4.779 1.616 5.866
3.148 -3.860 10.014
3.139 -3.913 1.713
6.856 2.520 4.138
6.872 2.545 7.624
4.753 -1.601 9.728
5.693 0.000 3.798
4.779 -1.616 5.866
4.783 -1.635 2.044
5.733 0.000 7.948
5.751 0.000 11.785
4.500 -3.855 4.073
7.517 1.358 10.017
7.538 1.347 1.770
4.511 -3.901 7.627
6.856 -2.520 4.138
7.517 -1.358 10.017
7.538 -1.347 1.770
6.872 -2.545 7.624
4.757 -6.700 7.623
5.454 -5.527 1.734
4.809 -6.708 4.118
5.472 -5.547 10.013
```

Summary:
Formation energy from the elements: -3.2675 eV per atom
Magnetic moment: 1.18 μB/cell


Here is a relaxed Na15Sn4 crystal from the Materials Project. Energies are from PBE.

Geometry as POSCAR:
```
Na15Sn4
1.0
-6.586 6.586 6.586
6.586 -6.586 6.586
6.586 6.586 -6.586
Na Sn
30 8
Cartesian
10.381 -1.265 1.667
2.028 -0.502 1.626
1.626 2.028 -0.502
9.879 1.646 0.000
7.851 -1.667 3.795
4.960 2.028 0.502
6.084 4.960 -2.028
4.939 0.000 3.293
-0.502 1.626 2.028
4.960 -2.028 6.084
7.851 1.667 2.791
3.293 4.939 0.000
8.212 4.558 0.502
2.028 0.502 4.960
3.795 7.851 -1.667
0.502 4.960 2.028
5.321 4.919 2.791
4.919 2.791 5.321
0.000 3.293 4.939
4.558 0.502 8.212
1.667 10.381 -1.265
2.791 7.851 1.667
1.646 0.000 9.879
2.791 5.321 4.919
1.667 2.791 7.851
-2.028 6.084 4.960
0.000 9.879 1.646
-1.667 3.795 7.851
-1.265 1.667 10.381
0.502 8.212 4.558
3.832 2.754 -2.754
7.125 -0.539 0.539
2.754 -2.754 3.832
2.754 2.754 2.754
-2.754 3.832 2.754
0.539 7.125 -0.539
-0.539 0.539 7.125
6.047 6.047 6.047
```

Summary:
Formation energy from the elements: -0.1552 eV per atom


Here is a relaxed NdMn4Al8 crystal from the Materials Project. Energies are from PBE.

Geometry as POSCAR:
```
NdMn4Al8
1.0
-4.442 4.442 2.598
4.442 -4.442 2.598
4.442 4.442 -2.598
Nd Mn Al
1 4 8
Cartesian
0.000 0.000 0.000
2.221 2.221 -1.299
2.221 -2.221 1.299
-2.221 2.221 1.299
2.221 2.221 1.299
3.023 0.000 0.000
5.860 0.000 0.000
4.442 2.422 0.000
0.000 3.023 0.000
2.422 4.442 0.000
2.020 0.000 2.598
0.000 5.860 0.000
0.000 2.020 2.598
```

Summary:
Formation energy from the elements: -0.3238 eV per atom
Magnetic moment: 8.81 μB/cell


Here is a relaxed SbPHO5 crystal from the Materials Project. Energies are from PBE.

Geometry as POSCAR:
```
SbPHO5
1.0
5.229 0.000 0.000
-0.477 5.629 0.000
-2.115 -2.711 6.899
Sb P H O
2 2 2 10
Cartesian
0.000 0.000 0.000
1.318 1.459 3.450
-1.315 0.153 4.987
3.951 2.765 1.913
0.230 2.126 5.571
2.406 0.792 1.328
-1.042 -1.173 5.676
-1.167 1.378 5.931
-0.304 0.326 3.785
0.168 2.836 2.527
1.519 0.481 1.716
1.117 2.437 5.183
2.469 0.083 4.372
2.940 2.592 3.114
3.803 1.540 0.968
3.678 4.092 1.223
```

Summary:
Formation energy from the elements: -2.0816 eV per atom
Magnetic moment: 0.00 μB/cell